Density functional theory data (PBE with a Hubbard U) for an optimized crystal structure of KPrGdFeO6.

- calculated formation energy (eV/atom) = -2.4450
- calculated total energy (eV per atom) = -7.62

The structure in CIF format:
```
data_KPrGdFeO6
_chemical_formula_sum 'K4 Pr4 Gd4 Fe4 O24'
_space_group_name_H-M_alt 'F -4 3 m'
_space_group_IT_number 216
_space_group_name_Hall 'F -4 2 3'
_cell_length_a 8.150
_cell_length_b 8.150
_cell_length_c 8.150
_cell_angle_alpha 90.00
_cell_angle_beta 90.00
_cell_angle_gamma 90.00
loop_
_atom_site_label
_atom_site_type_symbol
_atom_site_fract_x
_atom_site_fract_y
_atom_site_fract_z
K1 K 0.000 0.000 0.000
Pr1 Pr 0.000 0.000 0.500
Gd1 Gd 0.250 0.250 0.250
Fe1 Fe 0.250 0.250 0.750
O1 O 0.019 0.250 0.750
```

***

Density functional theory data (PBE with a Hubbard U) for an optimized crystal structure of Gd3FeO6.

- calculated formation energy (eV/atom) = -3.3425
- calculated total energy (eV per atom) = -10.74

The structure in CIF format:
```
data_Gd3FeO6
_chemical_formula_sum 'Gd12 Fe4 O24'
_space_group_name_H-M_alt 'C m c 21'
_space_group_IT_number 36
_cell_length_a 9.051
_cell_length_b 11.365
_cell_length_c 5.553
_cell_angle_alpha 90.00
_cell_angle_beta 90.00
_cell_angle_gamma 90.00
loop_
_space_group_symop_operation_xyz
'x,y,z'
'-x,-y,z+1/2'
'-x,y,z'
'x,-y,z+1/2'
'x+1/2,y+1/2,z'
'-x+1/2,-y+1/2,z+1/2'
'-x+1/2,y+1/2,z'
'x+1/2,-y+1/2,z+1/2'
loop_
_atom_site_label
_atom_site_type_symbol
_atom_site_fract_x
_atom_site_fract_y
_atom_site_fract_z
Gd1 Gd 0.000 0.103 0.000
Gd2 Gd 0.194 0.394 0.956
Fe1 Fe 0.000 0.308 0.426
O1 O 0.000 0.285 0.765
O2 O 0.000 0.460 0.279
O3 O 0.157 0.237 0.247
O4 O 0.160 0.015 0.727
```

***

Density functional theory data (PBE with a Hubbard U) for an optimized crystal structure of GdFeO3.

- calculated formation energy (eV/atom) = -2.7972
- calculated total energy (eV per atom) = -9.41

The structure in CIF format:
```
data_GdFeO3
_chemical_formula_sum 'Gd4 Fe4 O12'
_space_group_name_H-M_alt 'P n m a'
_space_group_IT_number 62
_cell_length_a 5.666
_cell_length_b 7.776
_cell_length_c 5.395
_cell_angle_alpha 90.00
_cell_angle_beta 90.00
_cell_angle_gamma 90.00
loop_
_space_group_symop_operation_xyz
'x,y,z'
'-x,-y,-z'
'-x+1/2,-y,z+1/2'
'x+1/2,y,-z+1/2'
'x+1/2,-y+1/2,-z+1/2'
'-x+1/2,y+1/2,z+1/2'
'-x,y+1/2,-z'
'x,-y+1/2,z'
loop_
_atom_site_label
_atom_site_type_symbol
_atom_site_fract_x
_atom_site_fract_y
_atom_site_fract_z
Gd1 Gd 0.066 0.250 0.017
Fe1 Fe 0.000 0.000 0.500
O1 O 0.035 0.750 0.393
O2 O 0.195 0.556 0.807
```

***

Density functional theory data (PBE with a Hubbard U) for an optimized crystal structure of Gd3Fe5O12.

- calculated formation energy (eV/atom) = -0.5648
- calculated total energy (eV per atom) = -6.79

The structure in CIF format:
```
data_Gd3Fe5O12
_chemical_formula_sum 'Gd24 Fe40 O96'
_space_group_name_H-M_alt 'I a -3 d'
_space_group_IT_number 230
_space_group_name_Hall '-I 4bd 2c 3'
_cell_length_a 12.627
_cell_length_b 12.627
_cell_length_c 12.627
_cell_angle_alpha 90.00
_cell_angle_beta 90.00
_cell_angle_gamma 90.00
loop_
_atom_site_label
_atom_site_type_symbol
_atom_site_fract_x
_atom_site_fract_y
_atom_site_fract_z
Gd1 Gd 0.000 0.250 0.125
Fe1 Fe 0.000 0.000 0.000
Fe2 Fe 0.000 0.250 0.375
O1 O 0.027 0.056 0.652
```